[1]
# Ca3Sn2S7

A relaxed structure of Ca3Sn2S7 (GGA-PBE, the Materials Project).

abc: 4.966 5.042 23.479
angles: 90.00 90.00 90.00
Space group Pmmm (No. 47)
Symmetry-distinct sites (fractional):
Ca1 0.000 0.000 0.000 [1 per cell]
Ca2 0.000 0.000 0.170 [2 per cell]
Ca3 0.500 0.500 0.327 [2 per cell]
Ca4 0.500 0.500 0.500 [1 per cell]
Sn1 0.000 0.000 0.387 [2 per cell]
Sn2 0.500 0.500 0.111 [2 per cell]
S1 0.000 0.000 0.284 [2 per cell]
S2 0.000 0.000 0.500 [1 per cell]
S3 0.000 0.500 0.088 [2 per cell]
S4 0.000 0.500 0.402 [2 per cell]
S5 0.500 0.000 0.089 [2 per cell]
S6 0.500 0.000 0.411 [2 per cell]
S7 0.500 0.500 0.000 [1 per cell]
S8 0.500 0.500 0.213 [2 per cell]

As for the polymorph energy (0 for the lowest one): 31.36 kJ per mole of atoms. Its total magnetic moment is 0.0 μB/f.u.

---

[2]
# MgMn5N4

A relaxed structure of MgMn5N4 (GGA-PBE, the Materials Project).

abc: 6.088 7.106 4.733
angles: 90.00 90.00 90.00
Space group Pmmn (No. 59, origin choice 2)
Symmetry-distinct sites (fractional):
Mg1 0.250 0.250 0.226 [2 per cell]
Mn1 0.029 0.073 0.756 [8 per cell]
Mn2 0.250 0.750 0.821 [2 per cell]
N1 0.036 0.750 0.531 [4 per cell]
N2 0.250 0.522 0.039 [4 per cell]

Its total magnetic moment is 7.3 μB/f.u.

---

[3]
# MgZn

A relaxed structure of MgZn (GGA-PBE, the Materials Project).

abc: 3.298 3.298 3.298
angles: 90.00 90.00 90.00
Space group Pm-3m (No. 221)
Symmetry-distinct sites (fractional):
Mg1 0.000 0.000 0.000 [1 per cell]
Zn1 0.500 0.500 0.500 [1 per cell]

---

[4]
# CrCd3N3

A relaxed structure of CrCd3N3 (GGA-PBE, the Materials Project).

abc: 6.9239 6.9239 5.2654
angles: 90.00 90.00 120.00
Space group P6_3/mmc (No. 194)
Symmetry-distinct sites (fractional):
Cr1 0.3333 0.6667 0.2500 [2 per cell]
Cd1 0.1909 0.3818 0.7500 [6 per cell]
N1 0.1867 0.3734 0.2500 [6 per cell]

Its total magnetic moment is 0.8 μB/f.u.

---

[5]
# RbTi2P3O12

A relaxed structure of RbTi2P3O12 (GGA-PBE, the Materials Project).

abc: 8.4197 8.4197 23.7883
angles: 90.00 90.00 120.00
Space group R-3 (No. 148, hexagonal axes)
Symmetry-distinct sites (fractional):
Rb1 0.0000 0.0000 0.0000 [3 per cell]
Rb2 0.0000 0.0000 0.5000 [3 per cell]
Ti1 0.0000 0.0000 0.1502 [6 per cell]
Ti2 0.0000 0.0000 0.3486 [6 per cell]
P1 0.0002 0.2804 0.2503 [18 per cell]
O1 0.0163 0.1941 0.9000 [18 per cell]
O2 0.0447 0.8382 0.3975 [18 per cell]
O3 0.0550 0.2095 0.1980 [18 per cell]
O4 0.0698 0.8562 0.7000 [18 per cell]

Its total magnetic moment is 0.0 μB/f.u.

---

[6]
# Ba2NdCu3O6

A relaxed structure of Ba2NdCu3O6 (GGA-PBE, the Materials Project).

abc: 3.925 3.925 12.142
angles: 90.00 90.00 90.00
Space group P4/mmm (No. 123)
Symmetry-distinct sites (fractional):
Ba1 0.000 0.000 0.194 [2 per cell]
Nd1 0.000 0.000 0.500 [1 per cell]
Cu1 0.500 0.500 0.000 [1 per cell]
Cu2 0.500 0.500 0.359 [2 per cell]
O1 0.000 0.500 0.372 [4 per cell]
O2 0.500 0.500 0.148 [2 per cell]

Its total magnetic moment is 0.4 μB/f.u.

---

[7]
# VFeP

A relaxed structure of VFeP (GGA-PBE, the Materials Project).

abc: 5.888 3.493 6.700
angles: 90.00 90.00 90.00
Space group Pnma (No. 62)
Symmetry-distinct sites (fractional):
V1 0.026 0.250 0.174 [4 per cell]
Fe1 0.143 0.250 0.562 [4 per cell]
P1 0.230 0.750 0.375 [4 per cell]

Its total magnetic moment is 0.0 μB/f.u.

---

[8]
# Cu3BiSe2IO8

A relaxed structure of Cu3BiSe2IO8 (GGA-PBE, the Materials Project).

abc: 6.467 9.824 7.448
angles: 90.00 90.00 90.00
Space group Pmmn (No. 59, origin choice 2)
Symmetry-distinct sites (fractional):
Cu1 0.000 0.000 0.000 [4 per cell]
Cu2 0.250 0.250 0.205 [2 per cell]
Bi1 0.250 0.250 0.759 [2 per cell]
Se1 0.250 0.557 0.385 [4 per cell]
I1 0.250 0.750 0.829 [2 per cell]
O1 0.039 0.585 0.241 [8 per cell]
O2 0.250 0.114 0.008 [4 per cell]
O3 0.250 0.117 0.407 [4 per cell]

Its total magnetic moment is 3.0 μB/f.u.

---

[9]
# CuTeP2O8

A relaxed structure of CuTeP2O8 (GGA-PBE, the Materials Project).

abc: 4.945 6.519 9.919
angles: 90.00 95.86 90.00
Space group P2_1/m (No. 11)
Symmetry-distinct sites (fractional):
Cu1 0.086 0.250 0.218 [2 per cell]
Te1 0.455 0.250 0.714 [2 per cell]
P1 0.080 0.750 0.089 [2 per cell]
P2 0.395 0.750 0.599 [2 per cell]
O1 0.151 0.750 0.943 [2 per cell]
O2 0.225 0.250 0.901 [2 per cell]
O3 0.237 0.568 0.174 [4 per cell]
O4 0.273 0.561 0.666 [4 per cell]
O5 0.292 0.250 0.387 [2 per cell]
O6 0.298 0.750 0.443 [2 per cell]

Its total magnetic moment is 1.0 μB/f.u.

---

[10]
# MgCdAg2

A relaxed structure of MgCdAg2 (GGA-PBE, the Materials Project).

abc: 3.309 3.309 6.967
angles: 90.00 90.00 90.00
Space group P4/mmm (No. 123)
Symmetry-distinct sites (fractional):
Mg1 0.000 0.000 0.000 [1 per cell]
Cd1 0.000 0.000 0.500 [1 per cell]
Ag1 0.500 0.500 0.240 [2 per cell]

---

[11]
# ZrMo2

A relaxed structure of ZrMo2 (GGA-PBE, the Materials Project).

abc: 7.629 7.629 7.629
angles: 90.00 90.00 90.00
Space group Fd-3m (No. 227, origin choice 2)
Symmetry-distinct sites (fractional):
Zr1 0.125 0.125 0.125 [8 per cell]
Mo1 0.000 0.000 0.500 [16 per cell]

As for the polymorph energy (0 for the lowest one): 0.00 kJ per mole of atoms.

---

[12]
# Cd5S4Cl2

A relaxed structure of Cd5S4Cl2 (GGA-PBE, the Materials Project).

abc: 6.734 12.915 14.235
angles: 90.00 90.00 90.00
Space group Ibam (No. 72)
Symmetry-distinct sites (fractional):
Cd1 0.000 0.000 0.250 [4 per cell]
Cd2 0.000 0.297 0.250 [8 per cell]
Cd3 0.195 0.402 0.000 [8 per cell]
S1 0.197 0.142 0.337 [16 per cell]
Cl1 0.192 0.394 0.500 [8 per cell]

As for the polymorph energy (0 for the lowest one): 2.01 kJ per mole of atoms. Its total magnetic moment is 0.0 μB/f.u.

---

[13]
# NbSiRh

A relaxed structure of NbSiRh (GGA-PBE, the Materials Project).

abc: 6.453 3.777 7.368
angles: 90.00 90.00 90.00
Space group Pnma (No. 62)
Symmetry-distinct sites (fractional):
Nb1 0.025 0.250 0.173 [4 per cell]
Si1 0.231 0.750 0.375 [4 per cell]
Rh1 0.145 0.250 0.563 [4 per cell]

---

[14]
# LaNi4Rh

A relaxed structure of LaNi4Rh (GGA-PBE, the Materials Project).

abc: 4.947 9.055 3.985
angles: 90.00 90.00 90.00
Space group Cmmm (No. 65)
Symmetry-distinct sites (fractional):
La1 0.000 0.000 0.000 [2 per cell]
Ni1 0.000 0.324 0.000 [4 per cell]
Ni2 0.250 0.250 0.500 [4 per cell]
Rh1 0.000 0.500 0.500 [2 per cell]

---

[15]
# MgAl4H12O12

A relaxed structure of MgAl4H12O12 (GGA-PBE, the Materials Project).

abc: 5.192 6.956 7.210
angles: 85.46 69.20 68.71
Space group P1 (No. 1)
Symmetry-distinct sites (fractional):
Mg1 0.000 0.000 0.000 [1 per cell]
Al1 0.297 0.262 0.126 [1 per cell]
Al2 0.329 0.738 0.632 [1 per cell]
Al3 0.629 0.431 0.289 [1 per cell]
Al4 0.640 0.899 0.793 [1 per cell]
H1 0.189 0.747 0.314 [1 per cell]
H2 0.323 0.276 0.766 [1 per cell]
H3 0.408 0.160 0.443 [1 per cell]
H4 0.523 0.519 0.968 [1 per cell]
H5 0.542 0.878 0.173 [1 per cell]
H6 0.751 0.855 0.418 [1 per cell]
H7 0.815 0.459 0.560 [1 per cell]
H8 0.931 0.145 0.658 [1 per cell]
H9 0.957 0.067 0.343 [1 per cell]
H10 0.974 0.635 0.185 [1 per cell]
H11 0.974 0.808 0.245 [1 per cell]
H12 0.985 0.583 0.873 [1 per cell]
O1 0.323 0.176 0.869 [1 per cell]
O2 0.347 0.288 0.374 [1 per cell]
O3 0.365 0.706 0.361 [1 per cell]
O4 0.374 0.766 0.872 [1 per cell]
O5 0.575 0.392 0.044 [1 per cell]
O6 0.579 0.904 0.548 [1 per cell]
O7 0.591 0.976 0.071 [1 per cell]
O8 0.628 0.464 0.553 [1 per cell]
O9 0.958 0.008 0.709 [1 per cell]
O10 0.966 0.165 0.238 [1 per cell]
O11 0.967 0.501 0.144 [1 per cell]
O12 0.990 0.657 0.750 [1 per cell]

As for the polymorph energy (0 for the lowest one): 0.00 kJ per mole of atoms. Its total magnetic moment is 0.0 μB/f.u.

---

[16]
# MgSb2O4

A relaxed structure of MgSb2O4 (GGA-PBE, the Materials Project).

abc: 9.532 3.084 13.637
angles: 90.00 90.00 90.00
Space group Pnma (No. 62)
Symmetry-distinct sites (fractional):
Mg1 0.209 0.250 0.152 [4 per cell]
Sb1 0.042 0.250 0.351 [4 per cell]
Sb2 0.101 0.250 0.897 [4 per cell]
O1 0.054 0.750 0.801 [4 per cell]
O2 0.103 0.750 0.066 [4 per cell]
O3 0.118 0.250 0.636 [4 per cell]
O4 0.159 0.750 0.269 [4 per cell]

As for the polymorph energy (0 for the lowest one): 28.90 kJ per mole of atoms. Its total magnetic moment is 0.0 μB/f.u.

---

[17]
# AsI3

A relaxed structure of AsI3 (GGA-PBE, the Materials Project).

abc: 7.4248 7.4248 22.4074
angles: 90.00 90.00 120.00
Space group R-3 (No. 148, hexagonal axes)
Symmetry-distinct sites (fractional):
As1 0.0000 0.0000 0.1803 [6 per cell]
I1 0.0104 0.3653 0.4232 [18 per cell]

---

DFT total energy
In order: -4.4879 -8.2606 -1.5082 -5.0932 -7.6992 -6.0837 -8.4701 -5.0463 -6.3731 -2.2086 -10.2190 -2.9483 -8.4948 -6.2203 -5.7336 -5.7141 -2.5049
Unit: eV per atom
DFT formation energy
In order: -14.38 -3.29 -0.16 0.70 -54.44 -26.53 -2.44 -16.90 -24.32 -0.65 -0.42 -10.81 -2.59 -1.90 -57.85 -13.10 -1.93
Unit: eV per formula unit